No. 1
A plane-wave DFT calculation with PBE was carried out for UCuAs2 after structural relaxation. Values from VASP.

Cell and atoms, written as Quantum ESPRESSO input:
```
&SYSTEM
  ibrav = 0, nat = 8, ntyp = 3
/
ATOMIC_SPECIES
U 238.03 U.upf
Cu 63.55 Cu.upf
As 74.92 As.upf
ATOMIC_POSITIONS crystal
U 0.500 0.000 0.234
U 0.000 0.500 0.766
Cu 0.500 0.500 0.500
Cu 0.000 0.000 0.500
As 0.500 0.000 0.665
As 0.000 0.500 0.335
As 0.000 0.000 0.000
As 0.500 0.500 0.000
CELL_PARAMETERS angstrom
3.953 0.000 0.000
0.000 3.953 0.000
0.000 0.000 9.540
```

Computed properties:
calculated volume: 75 Å³/f.u.
energy of formation: -1.9 eV per formula unit
ρ: 10.06 g/cm³

=====

No. 2
A plane-wave DFT calculation with PBE was carried out for Cs5YO4 after structural relaxation. Values from VASP.

Cell and atoms, written as Quantum ESPRESSO input:
```
&SYSTEM
  ibrav = 0, nat = 20, ntyp = 3
/
ATOMIC_SPECIES
Cs 132.91 Cs.upf
Y 88.91 Y.upf
O 16.00 O.upf
ATOMIC_POSITIONS crystal
Cs 0.255 0.763 0.813
Cs 0.255 0.237 0.813
Cs 0.817 0.500 0.000
Cs 0.255 0.763 0.187
Cs 0.255 0.237 0.187
Cs 0.745 0.737 0.313
Cs 0.745 0.263 0.313
Cs 0.183 0.000 0.500
Cs 0.745 0.737 0.687
Cs 0.745 0.263 0.687
Y 0.778 0.000 0.000
Y 0.222 0.500 0.500
O 0.946 0.000 0.813
O 0.613 0.785 0.000
O 0.613 0.215 0.000
O 0.946 0.000 0.187
O 0.054 0.500 0.313
O 0.387 0.715 0.500
O 0.387 0.285 0.500
O 0.054 0.500 0.687
CELL_PARAMETERS angstrom
7.007 0.000 0.000
0.000 8.619 0.000
0.000 0.000 9.944
```

Computed properties:
calculated volume: 300 Å³/f.u.
energy of formation: -18.8 eV per formula unit
ρ: 4.52 g/cm³
energy above the most stable polymorph in this dataset: 0.014 eV/atom

=====

No. 3
A plane-wave DFT calculation with PBE was carried out for KRb2TlCl6 after structural relaxation. Values from VASP.

Cell and atoms, written as Quantum ESPRESSO input:
```
&SYSTEM
  ibrav = 0, nat = 10, ntyp = 4
/
ATOMIC_SPECIES
K 39.10 K.upf
Rb 85.47 Rb.upf
Tl 204.38 Tl.upf
Cl 35.45 Cl.upf
ATOMIC_POSITIONS crystal
K 0.500 0.500 0.500
Rb 0.750 0.750 0.750
Rb 0.250 0.250 0.250
Tl 0.000 0.000 0.000
Cl 0.767 0.233 0.233
Cl 0.233 0.233 0.767
Cl 0.233 0.767 0.767
Cl 0.233 0.767 0.233
Cl 0.767 0.233 0.767
Cl 0.767 0.767 0.233
CELL_PARAMETERS angstrom
4.139 -5.476 3.953
3.519 1.872 6.846
-2.790 -2.918 6.815
```

Computed properties:
calculated volume: 351 Å³/f.u.
energy of formation: -18.1 eV per formula unit
ρ: 2.96 g/cm³

=====

Please write out number 3 again, unchanged.
A plane-wave DFT calculation with PBE was carried out for KRb2TlCl6 after structural relaxation. Values from VASP.

Cell and atoms, written as Quantum ESPRESSO input:
```
&SYSTEM
  ibrav = 0, nat = 10, ntyp = 4
/
ATOMIC_SPECIES
K 39.10 K.upf
Rb 85.47 Rb.upf
Tl 204.38 Tl.upf
Cl 35.45 Cl.upf
ATOMIC_POSITIONS crystal
K 0.500 0.500 0.500
Rb 0.750 0.750 0.750
Rb 0.250 0.250 0.250
Tl 0.000 0.000 0.000
Cl 0.767 0.233 0.233
Cl 0.233 0.233 0.767
Cl 0.233 0.767 0.767
Cl 0.233 0.767 0.233
Cl 0.767 0.233 0.767
Cl 0.767 0.767 0.233
CELL_PARAMETERS angstrom
4.139 -5.476 3.953
3.519 1.872 6.846
-2.790 -2.918 6.815
```

Computed properties:
calculated volume: 351 Å³/f.u.
energy of formation: -18.1 eV per formula unit
ρ: 2.96 g/cm³